1.
MnSb2S4 | PBE | relaxed

Results
V ... 648.8 Å³ per cell
E_form ... -0.609 eV per atom
Energy above the most stable polymorph in this dataset ... 15 kJ/mol of formula units
E (MP2020) ... -5.461 eV per atom
DFT total energy ... -5.17 eV per atom

Cell: 11.507 3.837 14.693 Å, 90.00 90.00 90.00°
Fractional coordinates of all 28 atoms:
Mn 0.182 0.250 0.166
Mn 0.318 0.750 0.666
Mn 0.682 0.250 0.334
Mn 0.818 0.750 0.834
Sb 0.043 0.250 0.616
Sb 0.142 0.750 0.944
Sb 0.358 0.250 0.444
Sb 0.457 0.750 0.116
Sb 0.543 0.250 0.884
Sb 0.642 0.750 0.556
Sb 0.858 0.250 0.056
Sb 0.957 0.750 0.384
S 0.043 0.750 0.097
S 0.076 0.250 0.317
S 0.199 0.250 0.730
S 0.225 0.750 0.512
S 0.275 0.250 0.012
S 0.301 0.750 0.230
S 0.424 0.750 0.817
S 0.457 0.250 0.597
S 0.543 0.750 0.403
S 0.576 0.250 0.183
S 0.699 0.250 0.770
S 0.725 0.750 0.988
S 0.775 0.250 0.488
S 0.801 0.750 0.270
S 0.924 0.750 0.683
S 0.957 0.250 0.903



2.
Nd2BiN | PBE | relaxed

Results
V ... 211.9 Å³ per cell
E_form ... -1.246 eV per atom
E (MP2020) ... -6.686 eV per atom
DFT total energy ... -6.60 eV per atom

Cell: 4.744 4.744 9.415 Å, 90.00 90.00 90.00°
Fractional coordinates of all 8 atoms:
Nd 0.250 0.250 0.175
Nd 0.250 0.750 0.500
Nd 0.750 0.250 0.500
Nd 0.750 0.750 0.825
Bi 0.250 0.250 0.806
Bi 0.750 0.750 0.194
N 0.250 0.250 0.417
N 0.750 0.750 0.583



3.
AgHg3SbO6 | PBE | relaxed

Results
V ... 362.2 Å³ per cell
E_form ... -1.008 eV per atom
E (MP2020) ... -4.423 eV per atom
DFT total energy ... -4.05 eV per atom

Cell: 7.133 7.133 7.133 Å, 87.87 87.87 87.87°
Fractional coordinates of all 22 atoms:
Ag 0.250 0.250 0.250
Ag 0.750 0.750 0.750
Hg 0.097 0.750 0.403
Hg 0.250 0.597 0.903
Hg 0.403 0.097 0.750
Hg 0.597 0.903 0.250
Hg 0.750 0.403 0.097
Hg 0.903 0.250 0.597
Sb 0.000 0.000 0.000
Sb 0.500 0.500 0.500
O 0.001 0.285 0.996
O 0.004 0.999 0.715
O 0.215 0.499 0.504
O 0.285 0.996 0.001
O 0.496 0.785 0.501
O 0.499 0.504 0.215
O 0.501 0.496 0.785
O 0.504 0.215 0.499
O 0.715 0.004 0.999
O 0.785 0.501 0.496
O 0.996 0.001 0.285
O 0.999 0.715 0.004



4.
LaAgAs2 | PBE | relaxed

Results
V ... 745.7 Å³ per cell
E_form ... -0.833 eV per atom
DFT total energy ... -5.11 eV per atom

Cell: 5.906 21.478 5.878 Å, 90.00 90.00 90.00°
Fractional coordinates of all 32 atoms:
La 0.014 0.114 0.250
La 0.014 0.386 0.750
La 0.484 0.619 0.750
La 0.484 0.881 0.250
La 0.516 0.119 0.750
La 0.516 0.381 0.250
La 0.986 0.614 0.250
La 0.986 0.886 0.750
Ag 0.232 0.750 0.000
Ag 0.232 0.750 0.500
Ag 0.265 0.250 0.000
Ag 0.265 0.250 0.500
Ag 0.735 0.750 0.000
Ag 0.735 0.750 0.500
Ag 0.768 0.250 0.000
Ag 0.768 0.250 0.500
As 0.017 0.163 0.750
As 0.017 0.337 0.250
As 0.282 0.001 0.531
As 0.282 0.001 0.969
As 0.282 0.499 0.031
As 0.282 0.499 0.469
As 0.484 0.664 0.250
As 0.484 0.836 0.750
As 0.516 0.164 0.250
As 0.516 0.336 0.750
As 0.718 0.501 0.531
As 0.718 0.501 0.969
As 0.718 0.999 0.031
As 0.718 0.999 0.469
As 0.983 0.663 0.750
As 0.983 0.837 0.250